Here is a relaxed structure of CeYC4 from the Materials Project. Energies are from PBE-GGA.

Properties
theoretical density: 5.27 g/cm³
DFT formation energy: -0.16 eV/atom
symmetry: C2/m
total magnetic moment: 0.444 μB/f.u.
E_tot: -8.38 eV per atom

Unit cell a=4.1215 b=4.1215 c=7.2417 alpha=115.08 beta=115.08 gamma=53.73
Sites, in units of the cell vectors:
Ce 0.0000 0.0000 0.0000
Y 0.5000 0.5000 0.5000
C 0.1953 0.1953 0.7942
C 0.3009 0.3009 0.6919
C 0.6991 0.6991 0.3081
C 0.8047 0.8047 0.2058

Here is a relaxed structure of CoH16C4N2Cl4 from the Materials Project. Energies are from PBE-GGA.

Properties
theoretical density: 1.44 g/cm³
DFT formation energy: -0.46 eV/atom
symmetry: P2_1/c
total magnetic moment: 2.992 μB/f.u.
E_tot: -4.91 eV per atom

Unit cell a=8.7059 b=11.5834 c=16.0060 alpha=90.00 beta=122.90 gamma=90.00
Sites, in units of the cell vectors:
Co 0.0886 0.2001 0.4184
Co 0.0886 0.2999 0.9184
Co 0.9114 0.7001 0.0816
Co 0.9114 0.7999 0.5816
H 0.0072 0.7330 0.3371
H 0.0072 0.7670 0.8371
H 0.0640 0.5319 0.3268
H 0.0640 0.9681 0.8268
H 0.0667 0.0534 0.1181
H 0.0667 0.4466 0.6181
H 0.1037 0.7230 0.4617
H 0.1037 0.7770 0.9617
H 0.1724 0.5208 0.4591
H 0.1724 0.9792 0.9591
H 0.2808 0.5654 0.1297
H 0.2808 0.9346 0.6297
H 0.2900 0.6940 0.3528
H 0.2900 0.8060 0.8528
H 0.2964 0.0240 0.7669
H 0.2964 0.4760 0.2669
H 0.3125 0.0776 0.6267
H 0.3125 0.4224 0.1267
H 0.3116 0.6875 0.9303
H 0.3116 0.8125 0.4303
H 0.3632 0.5471 0.8027
H 0.3632 0.9529 0.3027
H 0.3975 0.6730 0.4845
H 0.3975 0.8270 0.9845
H 0.4048 0.1057 0.3089
H 0.4048 0.3943 0.8089
H 0.4872 0.5861 0.6968
H 0.4872 0.9139 0.1968
H 0.4904 0.5219 0.0792
H 0.4904 0.9781 0.5792
H 0.4934 0.5679 0.3092
H 0.4934 0.9321 0.8092
H 0.5066 0.0679 0.1908
H 0.5066 0.4321 0.6908
H 0.5096 0.0219 0.4208
H 0.5096 0.4781 0.9208
H 0.5128 0.0861 0.8032
H 0.5128 0.4139 0.3032
H 0.5952 0.6057 0.1911
H 0.5952 0.8943 0.6911
H 0.6025 0.1730 0.0155
H 0.6025 0.3270 0.5155
H 0.6368 0.0471 0.6973
H 0.6368 0.4529 0.1973
H 0.6884 0.1875 0.5697
H 0.6884 0.3125 0.0697
H 0.6875 0.5776 0.8733
H 0.6875 0.9224 0.3733
H 0.7036 0.5240 0.7331
H 0.7036 0.9760 0.2331
H 0.7100 0.1940 0.1472
H 0.7100 0.3060 0.6472
H 0.7192 0.0654 0.3703
H 0.7192 0.4346 0.8703
H 0.8276 0.0208 0.0409
H 0.8276 0.4792 0.5409
H 0.8963 0.2230 0.0383
H 0.8963 0.2770 0.5383
H 0.9333 0.5534 0.3819
H 0.9333 0.9466 0.8819
H 0.9360 0.0319 0.1732
H 0.9360 0.4681 0.6732
H 0.9928 0.2330 0.1629
H 0.9928 0.2670 0.6629
C 0.0668 0.5654 0.3916
C 0.0668 0.9346 0.8916
C 0.2901 0.7193 0.4187
C 0.2901 0.7807 0.9187
C 0.4229 0.0112 0.7689
C 0.4229 0.4888 0.2689
C 0.4639 0.0216 0.3422
C 0.4639 0.4784 0.8422
C 0.5361 0.5216 0.1578
C 0.5361 0.9784 0.6578
C 0.5771 0.5112 0.7311
C 0.5771 0.9888 0.2311
C 0.7099 0.2193 0.0813
C 0.7099 0.2807 0.5813
C 0.9332 0.0654 0.1084
C 0.9332 0.4346 0.6084
N 0.1085 0.6913 0.4022
N 0.1085 0.8087 0.9022
N 0.3750 0.0010 0.6647
N 0.3750 0.4990 0.1647
N 0.6250 0.5010 0.8353
N 0.6250 0.9990 0.3353
N 0.8915 0.1913 0.0978
N 0.8915 0.3087 0.5978
Cl 0.0933 0.0069 0.4086
Cl 0.0933 0.4931 0.9086
Cl 0.1749 0.2211 0.8214
Cl 0.1749 0.2789 0.3214
Cl 0.1978 0.7423 0.6255
Cl 0.1978 0.7577 0.1255
Cl 0.2725 0.2408 0.0791
Cl 0.2725 0.2592 0.5791
Cl 0.7275 0.7408 0.4209
Cl 0.7275 0.7592 0.9209
Cl 0.8022 0.2423 0.8745
Cl 0.8022 0.2577 0.3745
Cl 0.8251 0.7211 0.6786
Cl 0.8251 0.7789 0.1786
Cl 0.9067 0.5069 0.0914
Cl 0.9067 0.9931 0.5914

Here is a relaxed structure of CoH4C4N2Cl4 from the Materials Project. Energies are from PBE-GGA.

Properties
theoretical density: 1.43 g/cm³
DFT formation energy: 0.69 eV/atom
symmetry: P2_1/c
total magnetic moment: 1.094 μB/f.u.
E_tot: -4.59 eV per atom

Unit cell a=7.6865 b=11.3729 c=16.2945 alpha=90.00 beta=113.71 gamma=90.00
Sites, in units of the cell vectors:
Co 0.2408 0.1698 0.4674
Co 0.2408 0.3302 0.9674
Co 0.7592 0.6698 0.0326
Co 0.7592 0.8302 0.5326
H 0.1029 0.7301 0.5234
H 0.1029 0.7699 0.0234
H 0.3979 0.0846 0.5053
H 0.3979 0.4154 0.0053
H 0.4044 0.7376 0.8993
H 0.4044 0.7624 0.3993
H 0.4541 0.1646 0.3487
H 0.4541 0.3354 0.8487
H 0.5459 0.6646 0.1513
H 0.5459 0.8354 0.6513
H 0.5956 0.2376 0.6007
H 0.5956 0.2624 0.1007
H 0.6021 0.5846 0.9947
H 0.6021 0.9154 0.4947
H 0.8971 0.2301 0.9766
H 0.8971 0.2699 0.4766
C 0.0155 0.7135 0.3488
C 0.0155 0.7865 0.8488
C 0.2105 0.5445 0.4374
C 0.2105 0.9555 0.9374
C 0.3018 0.5232 0.2036
C 0.3018 0.9768 0.7036
C 0.3445 0.5006 0.7379
C 0.3445 0.9994 0.2379
C 0.6555 0.0006 0.7621
C 0.6555 0.4994 0.2621
C 0.6982 0.0232 0.2964
C 0.6982 0.4768 0.7964
C 0.7895 0.0445 0.0626
C 0.7895 0.4555 0.5626
C 0.9845 0.2135 0.1512
C 0.9845 0.2865 0.6512
N 0.1147 0.6290 0.3935
N 0.1147 0.8710 0.8935
N 0.4779 0.5102 0.2327
N 0.4779 0.9898 0.7327
N 0.5221 0.0102 0.2673
N 0.5221 0.4898 0.7673
N 0.8853 0.1290 0.1065
N 0.8853 0.3710 0.6065
Cl 0.0571 0.7171 0.5914
Cl 0.0571 0.7829 0.0914
Cl 0.2103 0.5203 0.9422
Cl 0.2103 0.9797 0.4422
Cl 0.4025 0.2410 0.8780
Cl 0.4025 0.2590 0.3780
Cl 0.4339 0.2282 0.1003
Cl 0.4339 0.2718 0.6003
Cl 0.5661 0.7282 0.3997
Cl 0.5661 0.7718 0.8997
Cl 0.5975 0.7410 0.6220
Cl 0.5975 0.7590 0.1220
Cl 0.7897 0.0203 0.5578
Cl 0.7897 0.4797 0.0578
Cl 0.9429 0.2171 0.9086
Cl 0.9429 0.2829 0.4086

Here is a relaxed structure of CoH12C2N2Cl4 from the Materials Project. Energies are from PBE-GGA.

Properties
theoretical density: 1.56 g/cm³
DFT formation energy: -0.58 eV/atom
symmetry: P2_1/c
total magnetic moment: 3.148 μB/f.u.
E_tot: -4.76 eV per atom

Unit cell a=7.8499 b=12.8581 c=11.2143 alpha=90.00 beta=96.58 gamma=90.00
Sites, in units of the cell vectors:
Co 0.2305 0.0613 0.2728
Co 0.2305 0.4387 0.7728
Co 0.7695 0.5613 0.2272
Co 0.7695 0.9387 0.7272
H 0.0744 0.6867 0.4646
H 0.0744 0.8133 0.9646
H 0.1429 0.1678 0.7591
H 0.1429 0.3322 0.2591
H 0.1750 0.0564 0.5862
H 0.1750 0.4436 0.0862
H 0.2163 0.7151 0.9605
H 0.2163 0.7849 0.4605
H 0.2186 0.7092 0.5846
H 0.2186 0.7908 0.0846
H 0.2417 0.0456 0.8004
H 0.2417 0.4544 0.3004
H 0.2853 0.1671 0.5799
H 0.2853 0.3329 0.0799
H 0.3010 0.6389 0.3442
H 0.3010 0.8611 0.8442
H 0.3066 0.5603 0.4784
H 0.3066 0.9397 0.9784
H 0.3712 0.1614 0.7963
H 0.3712 0.3386 0.2963
H 0.3880 0.0548 0.6194
H 0.3880 0.4452 0.1194
H 0.4557 0.6655 0.4705
H 0.4557 0.8345 0.9705
H 0.5443 0.1655 0.0295
H 0.5443 0.3345 0.5295
H 0.6120 0.5548 0.8806
H 0.6120 0.9452 0.3806
H 0.6288 0.6614 0.7037
H 0.6288 0.8386 0.2037
H 0.6934 0.0603 0.0216
H 0.6934 0.4397 0.5216
H 0.6990 0.1389 0.1558
H 0.6990 0.3611 0.6558
H 0.7147 0.6671 0.9201
H 0.7147 0.8329 0.4201
H 0.7583 0.5456 0.6996
H 0.7583 0.9544 0.1996
H 0.7814 0.2092 0.9154
H 0.7814 0.2908 0.4154
H 0.7837 0.2151 0.5395
H 0.7837 0.2849 0.0395
H 0.8250 0.5564 0.9138
H 0.8250 0.9436 0.4138
H 0.8571 0.6678 0.7409
H 0.8571 0.8322 0.2409
H 0.9256 0.1867 0.0354
H 0.9256 0.3133 0.5354
C 0.2574 0.1201 0.7555
C 0.2574 0.3799 0.2555
C 0.3252 0.6382 0.4426
C 0.3252 0.8618 0.9426
C 0.6748 0.1382 0.0574
C 0.6748 0.3618 0.5574
C 0.7426 0.6201 0.7445
C 0.7426 0.8799 0.2445
N 0.2010 0.7098 0.4915
N 0.2010 0.7902 0.9915
N 0.2785 0.0984 0.6272
N 0.2785 0.4016 0.1272
N 0.7215 0.5984 0.8728
N 0.7215 0.9016 0.3728
N 0.7990 0.2098 0.0085
N 0.7990 0.2902 0.5085
Cl 0.0060 0.1036 0.3722
Cl 0.0060 0.3964 0.8722
Cl 0.1881 0.1342 0.0864
Cl 0.1881 0.3658 0.5864
Cl 0.2561 0.6152 0.7691
Cl 0.2561 0.8848 0.2691
Cl 0.4798 0.1176 0.3727
Cl 0.4798 0.3824 0.8727
Cl 0.5202 0.6176 0.1273
Cl 0.5202 0.8824 0.6273
Cl 0.7439 0.1152 0.7309
Cl 0.7439 0.3848 0.2309
Cl 0.8119 0.6342 0.4136
Cl 0.8119 0.8658 0.9136
Cl 0.9940 0.6036 0.1278
Cl 0.9940 0.8964 0.6278

Here is a relaxed structure of CoH16C4S4N8Cl2 from the Materials Project. Energies are from PBE-GGA.

Properties
theoretical density: 1.65 g/cm³
DFT formation energy: -0.36 eV/atom
symmetry: P4_2/n
total magnetic moment: 0.844 μB/f.u.
E_tot: -5.56 eV per atom

Unit cell a=13.5793 b=13.5793 c=9.4632 alpha=90.00 beta=90.00 gamma=90.00
Sites, in units of the cell vectors:
Co 0.0000 0.0000 0.0000
Co 0.0000 0.5000 0.5000
Co 0.5000 0.0000 0.5000
Co 0.5000 0.5000 0.0000
H 0.0007 0.7018 0.2461
H 0.0007 0.8305 0.2237
H 0.0040 0.8040 0.7526
H 0.0325 0.6850 0.6954
H 0.0787 0.6027 0.0877
H 0.1027 0.9213 0.5877
H 0.1073 0.3880 0.1270
H 0.1120 0.1073 0.3730
H 0.1507 0.6533 0.9517
H 0.1533 0.8493 0.4517
H 0.1645 0.3099 0.0041
H 0.1695 0.5007 0.7237
H 0.1850 0.9675 0.1954
H 0.1901 0.1645 0.4959
H 0.1960 0.5040 0.2526
H 0.2018 0.9993 0.7461
H 0.2982 0.5007 0.7461
H 0.3040 0.9960 0.2526
H 0.3099 0.3355 0.4959
H 0.3150 0.5325 0.1954
H 0.3305 0.9993 0.7237
H 0.3355 0.1901 0.0041
H 0.3467 0.6507 0.4517
H 0.3493 0.8467 0.9517
H 0.3880 0.3927 0.3730
H 0.3927 0.1120 0.1270
H 0.3973 0.5787 0.5877
H 0.4213 0.8973 0.0877
H 0.4675 0.8150 0.6954
H 0.4960 0.6960 0.7526
H 0.4993 0.6695 0.2237
H 0.4993 0.7982 0.2461
H 0.5007 0.2018 0.7539
H 0.5007 0.3305 0.7763
H 0.5040 0.3040 0.2474
H 0.5325 0.1850 0.3046
H 0.5787 0.1027 0.9123
H 0.6027 0.4213 0.4123
H 0.6073 0.8880 0.8730
H 0.6120 0.6073 0.6270
H 0.6507 0.1533 0.0483
H 0.6533 0.3493 0.5483
H 0.6645 0.8099 0.9959
H 0.6695 0.0007 0.2763
H 0.6850 0.4675 0.8046
H 0.6901 0.6645 0.5041
H 0.6960 0.0040 0.7474
H 0.7018 0.4993 0.2539
H 0.7982 0.0007 0.2539
H 0.8040 0.4960 0.7474
H 0.8099 0.8355 0.5041
H 0.8150 0.0325 0.8046
H 0.8305 0.4993 0.2763
H 0.8355 0.6901 0.9959
H 0.8467 0.1507 0.5483
H 0.8493 0.3467 0.0483
H 0.8880 0.8927 0.6270
H 0.8927 0.6120 0.8730
H 0.8973 0.0787 0.4123
H 0.9213 0.3973 0.9123
H 0.9675 0.3150 0.3046
H 0.9960 0.1960 0.2474
H 0.9993 0.1695 0.7763
H 0.9993 0.2982 0.7539
C 0.0765 0.7537 0.0730
C 0.0814 0.2526 0.4110
C 0.2463 0.5765 0.5730
C 0.2474 0.0814 0.0890
C 0.2526 0.4186 0.0890
C 0.2537 0.9235 0.5730
C 0.4186 0.2474 0.4110
C 0.4235 0.7463 0.0730
C 0.5765 0.2537 0.9270
C 0.5814 0.7526 0.5890
C 0.7463 0.0765 0.4270
C 0.7474 0.5814 0.9110
C 0.7526 0.9186 0.9110
C 0.7537 0.4235 0.4270
C 0.9186 0.7474 0.5890
C 0.9235 0.2463 0.9270
S 0.1073 0.3524 0.5167
S 0.1113 0.8544 0.9746
S 0.1456 0.6113 0.4746
S 0.1476 0.1073 0.9833
S 0.3524 0.3927 0.9833
S 0.3544 0.8887 0.4746
S 0.3887 0.6456 0.9746
S 0.3927 0.1476 0.5167
S 0.6073 0.8524 0.4833
S 0.6113 0.3544 0.0254
S 0.6456 0.1113 0.5254
S 0.6476 0.6073 0.0167
S 0.8524 0.8927 0.0167
S 0.8544 0.3887 0.5254
S 0.8887 0.1456 0.0254
S 0.8927 0.6476 0.4833
N 0.0108 0.2544 0.3124
N 0.0215 0.7622 0.1897
N 0.1033 0.6629 0.0329
N 0.1328 0.1691 0.4270
N 0.1629 0.8967 0.5329
N 0.1691 0.3672 0.0730
N 0.2378 0.5215 0.6897
N 0.2456 0.0108 0.1876
N 0.2544 0.4892 0.1876
N 0.2622 0.9785 0.6897
N 0.3309 0.1328 0.0730
N 0.3371 0.6033 0.5329
N 0.3672 0.3309 0.4270
N 0.3967 0.8371 0.0329
N 0.4785 0.7378 0.1897
N 0.4892 0.2456 0.3124
N 0.5108 0.7544 0.6876
N 0.5215 0.2622 0.8103
N 0.6033 0.1629 0.9671
N 0.6328 0.6691 0.5730
N 0.6629 0.3967 0.4671
N 0.6691 0.8672 0.9270
N 0.7378 0.0215 0.3103
N 0.7456 0.5108 0.8124
N 0.7544 0.9892 0.8124
N 0.7622 0.4785 0.3103
N 0.8309 0.6328 0.9270
N 0.8371 0.1033 0.4671
N 0.8672 0.8309 0.5730
N 0.8967 0.3371 0.9671
N 0.9785 0.2378 0.8103
N 0.9892 0.7456 0.6876
Cl 0.0011 0.9911 0.2686
Cl 0.0089 0.5011 0.7686
Cl 0.4911 0.9989 0.7686
Cl 0.4989 0.5089 0.2686
Cl 0.5011 0.4911 0.7314
Cl 0.5089 0.0011 0.2314
Cl 0.9911 0.4989 0.2314
Cl 0.9989 0.0089 0.7314